Entry P
# PBE+U Li2VF4, relaxed
# V ... 81 Å³/f.u.
# Crystal system ... monoclinic
data_Li2VF4
_space_group_name_H-M_alt 'P 1 21/c 1'
_space_group_IT_number 14
_space_group_name_Hall '-P 2ybc'
_cell_length_a 10.4574
_cell_length_b 6.3626
_cell_length_c 11.4463
_cell_angle_alpha 90.00
_cell_angle_beta 122.05
_cell_angle_gamma 90.00
loop_
_atom_site_label
_atom_site_fract_x
_atom_site_fract_y
_atom_site_fract_z
Li1 0.1564 0.0320 0.0746
Li2 0.1566 0.5352 0.0712
Li3 0.3438 0.0367 0.4250
Li4 0.3437 0.5381 0.4235
V1 0.0004 0.2174 0.7489
V2 0.4993 0.2231 0.7484
F1 0.0013 0.0300 0.1229
F2 0.0043 0.5334 0.1245
F3 0.2344 0.7114 0.8838
F4 0.2358 0.2120 0.8688
F5 0.2639 0.2160 0.6288
F6 0.2652 0.7160 0.6446
F7 0.4990 0.0243 0.1219
F8 0.4988 0.0274 0.3771


Entry Q
# PBE+U Li2VF4, relaxed
# V ... 81 Å³/f.u.
# Crystal system ... monoclinic
data_Li2VF4
_space_group_name_H-M_alt 'P 1 21/c 1'
_space_group_IT_number 14
_space_group_name_Hall '-P 2ybc'
_cell_length_a 5.2347
_cell_length_b 6.2967
_cell_length_c 11.1067
_cell_angle_alpha 90.00
_cell_angle_beta 117.77
_cell_angle_gamma 90.00
loop_
_atom_site_label
_atom_site_fract_x
_atom_site_fract_y
_atom_site_fract_z
Li1 0.1090 0.0925 0.3611
Li2 0.1935 0.5877 0.4586
V1 0.4911 0.1738 0.7448
F1 0.0401 0.1805 0.6474
F2 0.0614 0.6553 0.6163
F3 0.4655 0.5703 0.3731
F4 0.4776 0.0816 0.3709


Calculated relative energies: entry P 0; entry Q 23, given in meV per atom


Entry P
# PBE+U Li2VF4, relaxed
# V ... 82 Å³/f.u.
# Crystal system ... monoclinic
data_Li2VF4
_space_group_name_H-M_alt 'P 1 2/c 1'
_space_group_IT_number 13
_space_group_name_Hall '-P 2yc'
_cell_length_a 5.2609
_cell_length_b 3.1927
_cell_length_c 10.6832
_cell_angle_alpha 90.00
_cell_angle_beta 114.46
_cell_angle_gamma 90.00
loop_
_atom_site_label
_atom_site_fract_x
_atom_site_fract_y
_atom_site_fract_z
Li1 0.1644 0.0791 0.4255
V1 0.5000 0.4347 0.7500
F1 0.2446 0.0585 0.1233
F2 0.2684 0.4195 0.8688


Entry Q
# PBE+U Li2VF4, relaxed
# V ... 92 Å³/f.u.
# Crystal system ... trigonal
data_Li2VF4
_space_group_name_H-M_alt 'R -3'
_space_group_IT_number 148
_space_group_name_Hall '-R 3'
_cell_length_a 14.4305
_cell_length_b 14.4305
_cell_length_c 9.1662
_cell_angle_alpha 90.00
_cell_angle_beta 90.00
_cell_angle_gamma 120.00
loop_
_atom_site_label
_atom_site_fract_x
_atom_site_fract_y
_atom_site_fract_z
Li1 0.0492 0.8396 0.4196
Li2 0.0520 0.8160 0.1015
V1 0.0499 0.7834 0.7406
F1 0.0065 0.3204 0.4536
F2 0.0878 0.5318 0.5922
F3 0.0930 0.2046 0.5936
F4 0.0944 0.2188 0.2511


Calculated relative energies: entry P 0; entry Q 29, given in meV per atom


Entry P
# PBE+U Li2VF4, relaxed
# V ... 81 Å³/f.u.
# Crystal system ... orthorhombic
data_Li2VF4
_space_group_name_H-M_alt 'P n a 21'
_space_group_IT_number 33
_space_group_name_Hall 'P 2c -2n'
_cell_length_a 6.0493
_cell_length_b 9.8408
_cell_length_c 5.4158
_cell_angle_alpha 90.00
_cell_angle_beta 90.00
_cell_angle_gamma 90.00
loop_
_atom_site_label
_atom_site_fract_x
_atom_site_fract_y
_atom_site_fract_z
Li1 0.0250 0.2169 0.0000
Li2 0.1409 0.9091 0.1117
V1 0.1588 0.6096 0.9678
F1 0.0691 0.2368 0.3471
F2 0.0823 0.9677 0.4977
F3 0.0940 0.5092 0.6271
F4 0.2156 0.7315 0.2872


Entry Q
# PBE+U Li2VF4, relaxed
# V ... 81 Å³/f.u.
# Crystal system ... orthorhombic
data_Li2VF4
_space_group_name_H-M_alt 'I m m a'
_space_group_IT_number 74
_space_group_name_Hall '-I 2b 2'
_cell_length_a 6.0045
_cell_length_b 6.2798
_cell_length_c 8.5426
_cell_angle_alpha 90.00
_cell_angle_beta 90.00
_cell_angle_gamma 90.00
loop_
_atom_site_label
_atom_site_fract_x
_atom_site_fract_y
_atom_site_fract_z
Li1 0.0000 0.2500 0.1342
Li2 0.2500 0.2500 0.7500
V1 0.0000 0.0000 0.5000
F1 0.0000 0.0181 0.7455
F2 0.2377 0.2500 0.5033


Entry R
# PBE+U Li2VF4, relaxed
# V ... 80 Å³/f.u.
# Crystal system ... tetragonal
# Piezoelectric modulus e_max ... 0.03 C/m2
data_Li2VF4
_space_group_name_H-M_alt 'P 41 2 2'
_space_group_IT_number 91
_space_group_name_Hall 'P 4w 2c'
_cell_length_a 6.1165
_cell_length_b 6.1165
_cell_length_c 8.5424
_cell_angle_alpha 90.00
_cell_angle_beta 90.00
_cell_angle_gamma 90.00
loop_
_atom_site_label
_atom_site_fract_x
_atom_site_fract_y
_atom_site_fract_z
Li1 0.0000 0.2213 0.0000
Li2 0.2472 0.2472 0.3750
V1 0.2353 0.5000 0.7500
F1 0.0072 0.2459 0.7582
F2 0.2487 0.4796 0.9980


Calculated relative energies: entry P 46; entry Q 6; entry R 0, given in meV per atom


Entry P
# PBE+U Li3V2F12, relaxed
# V ... 279 Å³/f.u.
# Crystal system ... monoclinic
data_Li3V2F12
_space_group_name_H-M_alt 'P 1 21/c 1'
_space_group_IT_number 14
_space_group_name_Hall '-P 2ybc'
_cell_length_a 9.2648
_cell_length_b 9.4509
_cell_length_c 15.7005
_cell_angle_alpha 90.00
_cell_angle_beta 125.68
_cell_angle_gamma 90.00
loop_
_atom_site_label
_atom_site_fract_x
_atom_site_fract_y
_atom_site_fract_z
Li1 0.0354 0.1147 0.1342
Li2 0.2641 0.6258 0.1527
Li3 0.4653 0.2366 0.9914
V1 0.1300 0.5309 0.8810
V2 0.3734 0.5331 0.6186
F1 0.0036 0.1907 0.6724
F2 0.0661 0.5720 0.1603
F3 0.0936 0.0037 0.2563
F4 0.1646 0.5654 0.0058
F5 0.1947 0.5732 0.4765
F6 0.2138 0.0906 0.1166
F7 0.2651 0.1282 0.4350
F8 0.2887 0.6824 0.6587
F9 0.3290 0.6318 0.9249
F10 0.4470 0.5036 0.2410
F11 0.4579 0.1174 0.0796
F12 0.4750 0.1606 0.8855


Entry Q
# PBE+U Li3V2F12, relaxed
# V ... 289 Å³/f.u.
# Crystal system ... monoclinic
data_Li3V2F12
_space_group_name_H-M_alt 'P 1 21/c 1'
_space_group_IT_number 14
_space_group_name_Hall '-P 2ybc'
_cell_length_a 5.3182
_cell_length_b 10.5285
_cell_length_c 10.4835
_cell_angle_alpha 90.00
_cell_angle_beta 99.79
_cell_angle_gamma 90.00
loop_
_atom_site_label
_atom_site_fract_x
_atom_site_fract_y
_atom_site_fract_z
Li1 0.0000 0.0000 0.0000
Li2 0.3965 0.1732 0.3788
V1 0.2590 0.6496 0.8079
F1 0.0027 0.0880 0.6279
F2 0.0832 0.7069 0.2496
F3 0.1469 0.5731 0.6436
F4 0.3956 0.7259 0.9654
F5 0.4357 0.0016 0.3568
F6 0.4587 0.2085 0.7568


Entry R
# PBE+U Li3V2F12, relaxed
# V ... 216 Å³/f.u.
# Crystal system ... monoclinic
data_Li3V2F12
_space_group_name_H-M_alt 'P 1 c 1'
_space_group_IT_number 7
_space_group_name_Hall 'P -2yc'
_cell_length_a 5.0305
_cell_length_b 8.8424
_cell_length_c 9.7282
_cell_angle_alpha 90.00
_cell_angle_beta 91.63
_cell_angle_gamma 90.00
loop_
_atom_site_label
_atom_site_fract_x
_atom_site_fract_y
_atom_site_fract_z
Li1 0.0000 0.1072 0.0000
Li2 0.4806 0.3501 0.2260
Li3 0.9661 0.1850 0.7106
V1 0.4868 0.0062 0.2413
V2 0.9817 0.4928 0.9767
F1 0.0990 0.3271 0.8827
F2 0.1622 0.3855 0.3648
F3 0.1981 0.0061 0.8588
F4 0.2723 0.4815 0.0917
F5 0.3049 0.1555 0.1285
F6 0.3211 0.1484 0.6456
F7 0.6319 0.1736 0.3253
F8 0.6944 0.4966 0.3602
F9 0.6947 0.1314 0.8495
F10 0.7822 0.0089 0.6203
F11 0.8068 0.3608 0.0869
F12 0.8591 0.3516 0.5774


Calculated relative energies: entry P 0; entry Q 82; entry R 6, given in meV per atom